This record from Materials Project describes CaH16O10 after structural relaxation. The functional is PBE.

Unit cell a=6.2015 b=6.3156 c=11.2129 alpha=91.18 beta=90.28 gamma=91.38
Fractional positions:
1 O 0.8604 0.3300 0.6273
2 O 0.3319 0.1236 0.3748
3 O 0.1630 0.2643 0.1501
4 O 0.2733 0.8494 0.1128
5 O 0.6813 0.8683 0.3793
6 O 0.3118 0.1359 0.6161
7 O 0.7127 0.1577 0.1225
8 O 0.8300 0.7312 0.1326
9 O 0.6687 0.8740 0.6274
10 O 0.3098 0.8824 0.8528
11 O 0.5044 0.4970 0.3198
12 O 0.4840 0.5337 0.8150
13 O 0.8574 0.7026 0.8819
14 O 0.7127 0.1335 0.8698
15 O 0.8711 0.3125 0.3812
16 O 0.1337 0.6744 0.3774
17 O 0.1208 0.6846 0.6232
18 O 0.1485 0.2942 0.8702
19 O 0.4872 0.5102 0.6821
20 O 0.4959 0.4990 0.1866
21 H 0.6363 0.0224 0.1328
22 H 0.8535 0.7216 0.0454
23 H 0.7059 0.6301 0.1515
24 H 0.7152 0.3888 0.6518
25 H 0.3858 0.7348 0.8350
26 H 0.2865 0.8834 0.9395
27 H 0.3312 0.9949 0.1177
28 H 0.2668 0.6233 0.6456
29 H 0.0193 0.5590 0.6278
30 H 0.7201 0.1417 0.9577
31 H 0.0203 0.3776 0.8807
32 H 0.7214 0.6171 0.8526
33 H 0.5553 0.9643 0.3747
34 H 0.3909 0.2695 0.3524
35 H 0.8549 0.3126 0.5385
36 H 0.3757 0.7409 0.1422
37 H 0.5679 0.0713 0.8523
38 H 0.6895 0.8658 0.5395
39 H 0.2900 0.3715 0.1622
40 H 0.4348 0.0391 0.6275
41 H 0.6197 0.2818 0.1485
42 H 0.2777 0.6112 0.3549
43 H 0.3121 0.1323 0.4637
44 H 0.3709 0.2808 0.6443
45 H 0.9744 0.4344 0.3703
46 H 0.2811 0.3911 0.8519
47 H 0.1365 0.6908 0.4664
48 H 0.0764 0.3152 0.0849
49 H 0.7289 0.3732 0.3548
50 H 0.9890 0.6332 0.8576
51 H 0.6193 0.7213 0.3563
52 H 0.6032 0.7288 0.6490
53 Ca 0.9988 0.0105 0.7406
54 Ca 0.0000 0.9874 0.2665

Summary:
Its offset from the most stable computed form is 0.84 eV/f.u. The volume is 8.13 Å³/atom. Its size of the total moment is 0.000 μB per atom.

This record from Materials Project describes Ti3Tl after structural relaxation. The functional is PBE.

Unit cell a=5.2853 b=5.2853 c=5.2853 alpha=134.60 beta=134.60 gamma=66.16
Fractional positions:
1 Ti 0.5000 0.5000 0.0000
2 Ti 0.7500 0.2500 0.5000
3 Ti 0.2500 0.7500 0.5000
4 Tl 0.0000 0.0000 0.0000

Summary:
The raw total energy comes out at -6.51 eV/atom. The volume is 18.43 Å³/atom.

This record from Materials Project describes NdMg16Al12 after structural relaxation. The functional is PBE.

Unit cell a=9.2591 b=9.2591 c=9.2591 alpha=110.15 beta=110.15 gamma=110.15
Fractional positions:
1 Al 0.8253 0.1892 0.1892
2 Al 0.8151 0.0016 0.6356
3 Al 0.1892 0.8253 0.1892
4 Al 0.0016 0.8151 0.6356
5 Al 0.3701 0.3701 0.1865
6 Al 0.6356 0.0016 0.8151
7 Al 0.3701 0.1865 0.3701
8 Al 0.6356 0.8151 0.0016
9 Al 0.1892 0.1892 0.8253
10 Al 0.8151 0.6356 0.0016
11 Al 0.0016 0.6356 0.8151
12 Al 0.1865 0.3701 0.3701
13 Nd 0.6286 0.6286 0.6286
14 Mg 0.7192 0.3872 0.3872
15 Mg 0.0041 0.0041 0.3466
16 Mg 0.6848 0.6848 0.2830
17 Mg 0.9986 0.6056 0.3117
18 Mg 0.3466 0.0041 0.0041
19 Mg 0.6848 0.2830 0.6848
20 Mg 0.6056 0.3117 0.9986
21 Mg 0.3872 0.7192 0.3872
22 Mg 0.0038 0.0038 0.0038
23 Mg 0.3117 0.6056 0.9986
24 Mg 0.0041 0.3466 0.0041
25 Mg 0.3872 0.3872 0.7192
26 Mg 0.6056 0.9986 0.3117
27 Mg 0.3117 0.9986 0.6056
28 Mg 0.9986 0.3117 0.6056
29 Mg 0.2830 0.6848 0.6848

Summary:
Its offset from the most stable computed form is 0.09 eV/f.u. The volume is 20.52 Å³/atom. Its size of the total moment is 0.000 μB per atom.

This record from Materials Project describes SiC after structural relaxation. The functional is PBE.

Unit cell a=22.8136 b=22.8136 c=22.8136 alpha=7.79 beta=7.79 gamma=7.79
Fractional positions:
1 C 0.0278 0.0278 0.0278
2 C 0.6204 0.6204 0.6204
3 C 0.3240 0.3240 0.3240
4 C 0.4722 0.4722 0.4722
5 C 0.3981 0.3981 0.3981
6 C 0.7686 0.7686 0.7686
7 C 0.1760 0.1760 0.1760
8 C 0.5464 0.5464 0.5464
9 C 0.9168 0.9168 0.9168
10 Si 0.5926 0.5926 0.5926
11 Si 0.1481 0.1481 0.1481
12 Si 0.8889 0.8889 0.8889
13 Si 0.4444 0.4444 0.4444
14 Si 0.7407 0.7407 0.7407
15 Si 0.9999 0.9999 0.9999
16 Si 0.5185 0.5185 0.5185
17 Si 0.2962 0.2962 0.2962
18 Si 0.3703 0.3703 0.3703

Summary:
Its offset from the most stable computed form is 0.02 eV/f.u. The volume is 10.50 Å³/atom. Its size of the total moment is 0.000 μB per atom.

This record from Materials Project describes VSn2 after structural relaxation. The functional is PBE.

Unit cell a=10.5274 b=9.7971 c=5.4894 alpha=81.83 beta=67.10 gamma=31.07
Fractional positions:
1 V 0.8776 0.8776 0.6224
2 V 0.6276 0.6276 0.3724
3 V 0.6224 0.6224 0.8776
4 V 0.3724 0.3724 0.6276
5 Sn 0.6664 0.3336 0.6664
6 Sn 0.0840 0.0840 0.9160
7 Sn 0.3340 0.3340 0.1660
8 Sn 0.5836 0.9164 0.5836
9 Sn 0.9160 0.9160 0.0840
10 Sn 0.3336 0.6664 0.3336
11 Sn 0.9164 0.5836 0.9164
12 Sn 0.1660 0.1660 0.3340

Summary:
The raw total energy comes out at -5.76 eV/atom. The volume is 20.54 Å³/atom.

This record from Materials Project describes NaAsO6 after structural relaxation. The functional is PBE.

Unit cell a=4.6323 b=7.0422 c=9.0548 alpha=78.54 beta=90.00 gamma=90.00
Fractional positions:
1 O 0.0118 0.4690 0.9328
2 O 0.4317 0.1915 0.9365
3 O 0.5118 0.5310 0.0672
4 O 0.2079 0.3370 0.4918
5 O 0.9317 0.8085 0.0635
6 O 0.9369 0.6986 0.5673
7 O 0.3716 0.8623 0.7666
8 O 0.7079 0.6630 0.5082
9 O 0.5481 0.9692 0.6868
10 O 0.4369 0.3014 0.4327
11 O 0.0481 0.0308 0.3132
12 O 0.8716 0.1377 0.2334
13 As 0.4016 0.4427 0.8919
14 As 0.9016 0.5573 0.1081
15 Na 0.4244 0.8885 0.1022
16 Na 0.9244 0.1115 0.8978

Summary:
Its offset from the most stable computed form is 0.00 eV/f.u. The volume is 18.09 Å³/atom. Its size of the total moment is 0.500 μB per atom.

This record from Materials Project describes TcF6 after structural relaxation. The functional is PBE.

Unit cell a=4.9625 b=8.5566 c=9.3645 alpha=90.00 beta=90.00 gamma=90.00
Fractional positions:
1 F 0.8839 0.7500 0.2451
2 F 0.7766 0.2500 0.4859
3 F 0.9269 0.0969 0.2574
4 F 0.2644 0.0973 0.9840
5 F 0.7644 0.9027 0.5160
6 F 0.2644 0.4027 0.9840
7 F 0.7356 0.5973 0.0160
8 F 0.4269 0.9031 0.2426
9 F 0.9269 0.4031 0.2574
10 F 0.0731 0.9031 0.7426
11 F 0.4269 0.5969 0.2426
12 F 0.7356 0.9027 0.0160
13 F 0.2234 0.7500 0.5141
14 F 0.5731 0.0969 0.7574
15 F 0.7234 0.2500 0.9859
16 F 0.2356 0.4027 0.4840
17 F 0.1161 0.2500 0.7549
18 F 0.2356 0.0973 0.4840
19 F 0.0731 0.5969 0.7426
20 F 0.7644 0.5973 0.5160
21 F 0.5731 0.4031 0.7574
22 F 0.2766 0.7500 0.0141
23 F 0.3839 0.2500 0.2549
24 F 0.6161 0.7500 0.7451
25 Tc 0.0803 0.2500 0.3706
26 Tc 0.4197 0.2500 0.8706
27 Tc 0.9197 0.7500 0.6294
28 Tc 0.5803 0.7500 0.1294

Summary:
The raw total energy comes out at -5.02 eV/atom. The volume is 14.20 Å³/atom.

This record from Materials Project describes TiSO6 after structural relaxation. The functional is PBE.

Unit cell a=5.3000 b=8.7385 c=11.2793 alpha=90.00 beta=90.00 gamma=90.00
Fractional positions:
1 O 0.2500 0.7871 0.9045
2 O 0.5000 0.5000 0.0000
3 O 0.2500 0.8327 0.6897
4 O 0.7500 0.3327 0.8103
5 O 0.0000 0.5000 0.0000
6 O 0.7500 0.1673 0.3103
7 O 0.9787 0.1180 0.7326
8 O 0.2500 0.2536 0.5806
9 O 0.7500 0.2129 0.0955
10 O 0.5213 0.1180 0.7326
11 O 0.2500 0.6673 0.1897
12 O 0.4787 0.8820 0.2674
13 O 0.0213 0.6180 0.7674
14 O 0.2500 0.7129 0.4045
15 O 0.5213 0.3820 0.2326
16 O 0.9787 0.3820 0.2326
17 O 0.4787 0.6180 0.7674
18 O 0.0000 0.0000 0.5000
19 O 0.2500 0.2464 0.0806
20 O 0.7500 0.7464 0.4194
21 O 0.0213 0.8820 0.2674
22 O 0.7500 0.2871 0.5955
23 O 0.7500 0.7536 0.9194
24 O 0.5000 0.0000 0.5000
25 Ti 0.7500 0.9705 0.3912
26 Ti 0.2500 0.4705 0.1088
27 Ti 0.2500 0.0295 0.6088
28 Ti 0.7500 0.5295 0.8912
29 S 0.7500 0.2166 0.7117
30 S 0.2500 0.7834 0.2883
31 S 0.7500 0.2834 0.2117
32 S 0.2500 0.7166 0.7883

Summary:
The raw total energy comes out at -6.67 eV/atom. The volume is 16.32 Å³/atom. Its size of the total moment is 0.250 μB per atom.

This record from Materials Project describes LiLu2In after structural relaxation. The functional is PBE.

Unit cell a=5.1640 b=5.1640 c=5.1640 alpha=60.00 beta=60.00 gamma=60.00
Fractional positions:
1 In 0.5000 0.5000 0.5000
2 Li 0.0000 0.0000 0.0000
3 Lu 0.7500 0.7500 0.7500
4 Lu 0.2500 0.2500 0.2500

Summary:
The raw total energy comes out at -3.65 eV/atom. The volume is 24.34 Å³/atom. Its size of the total moment is 0.000 μB per atom.

This record from Materials Project describes LaMg3 after structural relaxation. The functional is PBE.

Unit cell a=4.7527 b=4.7527 c=4.9669 alpha=90.00 beta=90.00 gamma=90.00
Fractional positions:
1 La 0.0000 0.0000 0.0000
2 Mg 0.5000 0.0000 0.5000
3 Mg 0.5000 0.5000 0.0000
4 Mg 0.0000 0.5000 0.5000

Summary:
The raw total energy comes out at -2.48 eV/atom. The volume is 28.05 Å³/atom. Its size of the total moment is 0.014 μB per atom.

This record from Materials Project describes Ta3InSi3S3O24 after structural relaxation. The functional is PBE.

Unit cell a=8.9095 b=8.9247 c=22.9622 alpha=89.81 beta=89.47 gamma=119.97
Fractional positions:
1 O 0.8214 0.0187 0.8029
2 O 0.7975 0.8267 0.1974
3 O 0.1282 0.6306 0.3637
4 O 0.6777 0.5358 0.2412
5 O 0.1779 0.1673 0.8077
6 O 0.8040 0.8402 0.9050
7 O 0.4938 0.6355 0.8593
8 O 0.6228 0.5170 0.6342
9 O 0.6418 0.4992 0.9294
10 O 0.8699 0.3674 0.6399
11 O 0.5067 0.1463 0.9300
12 O 0.6915 0.1431 0.7447
13 O 0.9821 0.8158 0.8066
14 O 0.8839 0.5192 0.1439
15 O 0.2061 0.0202 0.3030
16 O 0.9833 0.8153 0.0957
17 O 0.3046 0.8335 0.9730
18 O 0.2999 0.4752 0.7624
19 O 0.7972 0.9613 0.4091
20 O 0.8220 0.7987 0.5894
21 O 0.1697 0.9777 0.9079
22 O 0.3488 0.8670 0.5696
23 O 0.0224 0.2059 0.9078
24 O 0.2020 0.0268 0.5888
25 O 0.1276 0.4922 0.8639
26 O 0.5101 0.8336 0.4730
27 O 0.0347 0.2109 0.1978
28 O 0.1820 0.7080 0.7619
29 O 0.8750 0.3661 0.9237
30 O 0.4884 0.8580 0.3588
31 O 0.3651 0.5094 0.3594
32 O 0.3134 0.4817 0.4724
33 O 0.5450 0.8339 0.7565
34 O 0.6995 0.1745 0.0273
35 O 0.5173 0.6846 0.9726
36 O 0.3667 0.8598 0.8601
37 O 0.8408 0.0288 0.0965
38 O 0.1788 0.1958 0.4101
39 O 0.5088 0.8536 0.0706
40 O 0.2991 0.8359 0.2577
41 O 0.1427 0.4981 0.5685
42 O 0.6299 0.1392 0.4271
43 O 0.0301 0.8124 0.4098
44 O 0.4762 0.3708 0.1363
45 O 0.8366 0.5320 0.7481
46 O 0.5374 0.7038 0.2572
47 O 0.8162 0.7875 0.3017
48 O 0.4805 0.1104 0.6340
49 O 0.2003 0.1742 0.0938
50 O 0.5188 0.3788 0.4312
51 O 0.9754 0.1857 0.3022
52 O 0.6950 0.5414 0.5302
53 O 0.1538 0.4571 0.9686
54 O 0.8546 0.3170 0.2443
55 O 0.7981 0.9684 0.6972
56 O 0.4543 0.2977 0.0321
57 O 0.1428 0.6377 0.0683
58 O 0.9726 0.1583 0.5927
59 O 0.1756 0.9726 0.1981
60 O 0.0300 0.8416 0.6922
61 O 0.8276 0.5269 0.0271
62 O 0.8287 0.3078 0.5259
63 O 0.3432 0.4781 0.0714
64 O 0.4643 0.2923 0.7408
65 O 0.8752 0.5042 0.4255
66 O 0.4595 0.1493 0.2429
67 O 0.4608 0.1584 0.5297
68 O 0.1558 0.6865 0.4691
69 O 0.1598 0.1970 0.6935
70 O 0.1646 0.4682 0.2585
71 O 0.5146 0.6502 0.5713
72 O 0.6164 0.1067 0.1430
73 S 0.0036 0.2920 0.2501
74 S 0.3768 0.0420 0.5823
75 S 0.2865 0.9981 0.2502
76 S 0.7130 0.7119 0.2499
77 S 0.3773 0.3361 0.0828
78 S 0.7175 0.9968 0.7514
79 S 0.0511 0.3811 0.9160
80 S 0.0495 0.6629 0.4173
81 S 0.6704 0.6251 0.5822
82 Si 0.6167 0.6662 0.9152
83 Si 0.2881 0.2881 0.7523
84 Si 0.3414 0.9573 0.9153
85 Si 0.9541 0.6138 0.0830
86 Si 0.3404 0.3803 0.4170
87 Si 0.9498 0.3296 0.5842
88 Si 0.6164 0.9488 0.4167
89 Si 0.6657 0.0507 0.0835
90 Si 0.0047 0.7147 0.7494
91 Ta 0.3434 0.6872 0.0214
92 Ta 0.0083 0.9873 0.8574
93 Ta 0.3434 0.6690 0.3125
94 Ta 0.3404 0.6711 0.8082
95 Ta 0.6782 0.3393 0.9745
96 Ta 0.0123 0.0145 0.6473
97 Ta 0.9973 0.9954 0.1392
98 Ta 0.6677 0.3221 0.4756
99 Ta 0.3360 0.6554 0.5225
100 In 0.0025 0.0077 0.3592
101 In 0.6716 0.3286 0.1828
102 In 0.6772 0.3456 0.6931

Summary:
The raw total energy comes out at -7.62 eV/atom. The volume is 15.51 Å³/atom. Its size of the total moment is 0.000 μB per atom.

This record from Materials Project describes InMoS2 after structural relaxation. The functional is PBE.

Unit cell a=3.2039 b=3.2039 c=18.4574 alpha=90.00 beta=90.00 gamma=120.00
Fractional positions:
1 S 0.6667 0.3333 0.8353
2 S 0.3333 0.6667 0.3353
3 S 0.3333 0.6667 0.1647
4 S 0.6667 0.3333 0.6647
5 Mo 0.0000 0.0000 0.7500
6 Mo 0.0000 0.0000 0.2500
7 In 0.0000 0.0000 0.0000
8 In 0.0000 0.0000 0.5000

Summary:
The raw total energy comes out at -6.03 eV/atom. The volume is 20.51 Å³/atom. Its size of the total moment is 0.002 μB per atom.

This record from Materials Project describes Li2CuF5 after structural relaxation. The functional is PBE.

Unit cell a=5.3609 b=7.1676 c=9.4952 alpha=90.00 beta=90.00 gamma=90.00
Fractional positions:
1 Cu 0.2500 0.8177 0.9510
2 Cu 0.7500 0.1823 0.0490
3 Cu 0.2500 0.3177 0.5490
4 Cu 0.7500 0.6823 0.4510
5 F 0.7500 0.0970 0.2326
6 F 0.5000 0.0000 0.0000
7 F 0.5054 0.6350 0.9116
8 F 0.0000 0.0000 0.0000
9 F 0.2500 0.9030 0.7674
10 F 0.4946 0.3650 0.0884
11 F 0.7500 0.2635 0.8582
12 F 0.5054 0.1350 0.5884
13 F 0.2500 0.2365 0.3582
14 F 0.5000 0.5000 0.5000
15 F 0.0054 0.3650 0.0884
16 F 0.2500 0.7365 0.1418
17 F 0.7500 0.5970 0.2674
18 F 0.9946 0.1350 0.5884
19 F 0.4946 0.8650 0.4116
20 F 0.9946 0.6350 0.9116
21 F 0.2500 0.4030 0.7326
22 F 0.0000 0.5000 0.5000
23 F 0.7500 0.7635 0.6418
24 F 0.0054 0.8650 0.4116
25 Li 0.2500 0.4506 0.2288
26 Li 0.7500 0.5494 0.7712
27 Li 0.2500 0.3989 0.9315
28 Li 0.2500 0.8989 0.5685
29 Li 0.7500 0.6011 0.0685
30 Li 0.7500 0.0494 0.7288
31 Li 0.2500 0.9506 0.2712
32 Li 0.7500 0.1011 0.4315

Summary:
The raw total energy comes out at -4.28 eV/atom. The volume is 11.40 Å³/atom. Its size of the total moment is 0.000 μB per atom.